# 1
Crystalline SrCa7Ti3Mn5O22 at its relaxed geometry, computed with PBE+U.

Results
Energy = -280.647 eV for the cell shown
Formation energy from the elements = -2895 meV per atom
Polymorph energy (0 for the lowest one) = 0.018 eV/atom

Cell: 7.7177 7.7819 7.8113 Å, 89.69 89.92 89.96°
Space group P1 (No. 1)
Unique sites:
Sr 0.0000 0.0000 0.0000 x1
Ca 0.4978 0.5034 0.5074 x1
Ca 0.5113 0.9952 0.5123 x1
Ca 0.5124 0.4906 0.0388 x1
Ca 0.5170 0.9861 0.9941 x1
Ca 0.9694 0.5087 0.4922 x1
Ca 0.9789 0.5033 0.0236 x1
Ca 0.9982 0.0131 0.5069 x1
Ti 0.2523 0.2547 0.2606 x1
Ti 0.2541 0.2738 0.7597 x1
Ti 0.2537 0.7414 0.7497 x1
Mn 0.2557 0.7726 0.2569 x1
Mn 0.7454 0.2597 0.2559 x1
Mn 0.7470 0.2340 0.7501 x1
Mn 0.7474 0.7450 0.2593 x1
Mn 0.7519 0.7398 0.7522 x1
O 0.0011 0.7212 0.2409 x1
O 0.0016 0.7126 0.7700 x1
O 0.0309 0.1923 0.7422 x1
O 0.1979 0.0209 0.2499 x1
O 0.2401 0.8500 0.5421 x1
O 0.2410 0.3043 0.0010 x1
O 0.2667 0.2624 0.4971 x1
O 0.2671 0.8275 0.9693 x1
O 0.2772 0.5067 0.7190 x1
O 0.3037 0.5306 0.2660 x1
O 0.4659 0.1681 0.7610 x1
O 0.5030 0.2093 0.2316 x1
O 0.5081 0.7540 0.7269 x1
O 0.5099 0.8251 0.2614 x1
O 0.7045 0.5037 0.2944 x1
O 0.7318 0.7123 0.0108 x1
O 0.7389 0.4826 0.7020 x1
O 0.7468 0.1914 0.4920 x1
O 0.7559 0.2799 0.0066 x1
O 0.7573 0.9861 0.7969 x1
O 0.7775 0.7970 0.4968 x1
O 0.9929 0.2990 0.2629 x1


# 2
Crystalline V2H38S4N6O27 at its relaxed geometry, computed with PBE+U.

Results
Energy = -418.414 eV for the cell shown
Formation energy from the elements = -1209 meV per atom

Cell: 7.2467 7.9212 13.6113 Å, 89.26 88.08 83.90°
Space group P-1 (No. 2)
Unique sites:
V 0.0438 0.4285 0.2678 x2
H 0.0724 0.8704 0.6679 x2
H 0.0823 0.0361 0.8961 x2
H 0.0966 0.7410 0.5770 x2
H 0.1186 0.6551 0.0015 x2
H 0.1509 0.1499 0.8008 x2
H 0.2200 0.1860 0.9209 x2
H 0.2553 0.9239 0.3762 x2
H 0.2640 0.4956 0.0400 x2
H 0.3097 0.0138 0.8581 x2
H 0.3118 0.0956 0.4363 x2
H 0.3136 0.6032 0.9325 x2
H 0.3172 0.6981 0.0473 x2
H 0.3292 0.6585 0.2476 x2
H 0.3472 0.8223 0.1822 x2
H 0.3705 0.0683 0.3121 x2
H 0.3962 0.4360 0.5015 x2
H 0.3962 0.4666 0.7848 x2
H 0.4017 0.6598 0.7677 x2
H 0.4780 0.9397 0.3967 x2
S 0.0912 0.2435 0.6011 x2
S 0.2622 0.1421 0.1246 x2
N 0.1919 0.0978 0.8691 x2
N 0.2570 0.6139 0.0050 x2
N 0.3537 0.0086 0.3799 x2
O 0.0327 0.5510 0.1679 x2
O 0.0697 0.1262 0.6859 x2
O 0.0732 0.7550 0.4601 x2
O 0.0998 0.2063 0.1929 x2
O 0.1008 0.7505 0.6509 x2
O 0.1071 0.4209 0.6395 x2
O 0.2162 0.9762 0.0881 x2
O 0.2509 0.4389 0.3116 x2
O 0.2686 0.1976 0.5449 x2
O 0.2787 0.2645 0.0418 x2
O 0.3356 0.5783 0.8056 x2
O 0.4196 0.7276 0.2157 x2
O 0.4347 0.1203 0.1815 x2
O 0.5000 0.5000 0.5000 x1


# 3
Crystalline SrPrMnNbO6 at its relaxed geometry, computed with PBE+U.

Results
Energy = -318.835 eV for the cell shown
Formation energy from the elements = -3008 meV per atom

Cell: 8.1665 8.1665 8.1665 Å, 90.00 90.00 90.00°
Space group F-43m (No. 216)
Unique sites:
Sr 0.0000 0.0000 0.0000 x4
Pr 0.0000 0.0000 0.5000 x4
Mn 0.2500 0.2500 0.2500 x4
Nb 0.2500 0.2500 0.7500 x4
O 0.0063 0.2500 0.7500 x24


# 4
Crystalline Co7As2O12 at its relaxed geometry, computed with PBE+U.

Results
Energy = -518.805 eV for the cell shown
Formation energy from the elements = -1474 meV per atom
Polymorph energy (0 for the lowest one) = 0.000 eV/atom

Cell: 5.9211 18.3062 8.5638 Å, 90.00 90.00 90.00°
Space group Imma (No. 74)
Unique sites:
Co 0.0000 0.0718 0.1291 x8
Co 0.0000 0.1639 0.4803 x8
Co 0.2500 0.0881 0.7500 x8
Co 0.2500 0.2500 0.7500 x4
As 0.0000 0.0000 0.5000 x4
As 0.0000 0.2500 0.1224 x4
O 0.0000 0.0092 0.7190 x8
O 0.0000 0.1691 0.7224 x8
O 0.0000 0.1712 0.2353 x8
O 0.2198 0.0741 0.4960 x16
O 0.2422 0.2500 0.0087 x8